1.
Material: BeCl2
Method: DFT, PBE-GGA
State: optimized geometry

As for the raw total energy: -3.888 eV per atom. As for the space-group type: P3_221. For the formation energy, the calculation gives -1.82 eV/atom. The value obtained for the maximum piezoelectric response is 0.0 C/m2. Its energy above the most stable polymorph in this dataset is 0.0189 eV per atom.

Cell and atoms, written as extended XYZ:
```
27
Lattice="4.363 9.862 4.061 -7.211 0.159 -8.987 -6.524 0.725 5.247" Properties=species:S:1:pos:R:3 pbc="T T T"
Be -4.938 6.258 -0.274
Be -10.298 3.408 -0.155
Cl -6.067 7.645 3.912
Cl -3.368 6.158 2.988
Cl -3.006 5.599 -0.280
Be -2.034 5.805 1.495
Cl -5.559 2.538 -6.400
Cl -6.351 5.095 0.628
Cl -5.382 6.511 -2.243
Cl -1.120 3.978 1.681
Be 1.018 7.013 0.636
Cl -6.916 4.966 -4.542
Cl -3.547 9.619 2.977
Cl -8.719 3.608 -1.419
Cl -4.087 9.173 6.248
Be -8.405 0.670 0.674
Cl -3.688 0.886 -4.452
Cl -0.721 7.377 1.624
Cl -3.657 4.342 -4.200
Be -4.487 7.845 2.649
Be -5.397 4.705 -3.214
Cl -5.583 3.107 -1.938
Be -6.918 3.462 -0.446
Be 0.709 4.180 2.546
Cl -5.072 8.042 0.693
Cl -6.895 1.996 0.986
Cl -4.608 6.074 6.635
```



2.
Material: Rb2LaAgCl6
Method: DFT, PBE-GGA
State: optimized geometry

As for the raw total energy: -3.903 eV per atom. As for the space-group type: Fm-3m. For the formation energy, the calculation gives -2.19 eV/atom.

Cell and atoms, written as extended XYZ:
```
10
Lattice="-1.120 -7.489 1.866 -4.909 -4.372 -4.196 2.776 -5.629 -4.629" Properties=species:S:1:pos:R:3 pbc="T T T"
Cl 0.009 -10.925 -3.123
Cl -3.821 -10.298 -2.907
Ag -1.627 -8.745 -3.480
Cl -3.263 -6.566 -3.837
Rb -0.813 -4.373 -1.740
Rb -2.440 -13.118 -5.220
La 0.000 0.000 0.000
Cl -1.879 -9.371 -6.144
Cl 0.567 -7.192 -4.053
Cl -1.374 -8.119 -0.816
```